A relaxed structure of LiFeSO4F, computed with PBE with a Hubbard U.

- Total magnetic moment: 0.000 μB per cell
- Polymorph energy (0 for the lowest one): 0.25 kJ per mole of atoms
- Calculated formation energy: -2184.5 meV per atom
- MP2020-corrected energy: -6.7122 eV/atom

Structure (CIF):
```
data_LiFeSO4F
_chemical_formula_sum 'Li2 Fe2 S2 O8 F2'
_symmetry_space_group_name_H-M 'P 1'
_symmetry_Int_Tables_number 1
_cell_length_a 5.2312
_cell_length_b 5.5873
_cell_length_c 7.3836
_cell_angle_alpha 107.14
_cell_angle_beta 107.02
_cell_angle_gamma 96.90
loop_
_symmetry_equiv_pos_as_xyz
'x,y,z'
loop_
_atom_site_label
_atom_site_type_symbol
_atom_site_fract_x
_atom_site_fract_y
_atom_site_fract_z
_atom_site_occupancy
Li1 Li 0.0000 0.0000 0.0000 1
Li2 Li 0.4826 0.7715 0.4968 1
Fe1 Fe 0.7467 0.3955 0.7846 1
Fe2 Fe 0.7544 0.3950 0.2862 1
S1 S 0.0782 0.0277 0.5383 1
S2 S 0.4244 0.7694 0.0410 1
O1 O 0.0207 0.1621 0.3910 1
O2 O 0.0732 0.7518 0.4343 1
O3 O 0.1453 0.6535 0.8873 1
O4 O 0.3569 0.1392 0.6918 1
O5 O 0.4261 0.0463 0.1356 1
O6 O 0.4794 0.6447 0.1967 1
O7 O 0.6379 0.7457 0.9429 1
O8 O 0.8662 0.0403 0.6403 1
F1 F 0.6305 0.4854 0.5300 1
F2 F 0.8710 0.3068 0.0402 1
```